# K3LuSi3O9

A relaxed structure of K3LuSi3O9 (PBE, the Materials Project).

Summary:
Energy of formation ... -3.127 eV per atom
M_tot ... 0.00 μB/f.u.
Volume ... 16.84 Å³ per atom
Total energy after the MP2020 corrections ... -7.418 eV per atom
ρ ... 3.21 Mg/m³

Lattice parameters (Å, degrees): 14.117 5.868 13.010 90.00 90.00 90.00
Positions (direct):
K (0.000, 0.143, 0.000)
K (0.000, 0.304, 0.271)
K (0.000, 0.654, 0.785)
K (0.000, 0.856, 0.512)
K (0.235, 0.659, 0.290)
K (0.265, 0.341, 0.790)
K (0.500, 0.144, 0.012)
K (0.500, 0.346, 0.285)
K (0.500, 0.696, 0.771)
K (0.500, 0.857, 0.500)
K (0.735, 0.341, 0.790)
K (0.765, 0.659, 0.290)
Lu (0.243, 0.145, 0.123)
Lu (0.257, 0.855, 0.623)
Lu (0.743, 0.855, 0.623)
Lu (0.757, 0.145, 0.123)
Si (0.112, 0.655, 0.046)
Si (0.116, 0.349, 0.584)
Si (0.233, 0.170, 0.408)
Si (0.267, 0.830, 0.908)
Si (0.384, 0.651, 0.084)
Si (0.388, 0.345, 0.546)
Si (0.612, 0.345, 0.546)
Si (0.616, 0.651, 0.084)
Si (0.733, 0.830, 0.908)
Si (0.767, 0.170, 0.408)
Si (0.884, 0.349, 0.584)
Si (0.888, 0.655, 0.046)
O (0.000, 0.350, 0.571)
O (0.000, 0.658, 0.002)
O (0.131, 0.408, 0.098)
O (0.131, 0.873, 0.119)
O (0.145, 0.594, 0.633)
O (0.147, 0.329, 0.460)
O (0.149, 0.127, 0.648)
O (0.167, 0.684, 0.932)
O (0.213, 0.174, 0.286)
O (0.236, 0.919, 0.458)
O (0.264, 0.081, 0.958)
O (0.287, 0.826, 0.786)
O (0.333, 0.316, 0.432)
O (0.351, 0.873, 0.148)
O (0.353, 0.671, 0.960)
O (0.355, 0.406, 0.133)
O (0.369, 0.127, 0.619)
O (0.369, 0.592, 0.598)
O (0.500, 0.342, 0.502)
O (0.500, 0.650, 0.071)
O (0.631, 0.127, 0.619)
O (0.631, 0.592, 0.598)
O (0.645, 0.406, 0.133)
O (0.647, 0.671, 0.960)
O (0.649, 0.873, 0.148)
O (0.667, 0.316, 0.432)
O (0.713, 0.826, 0.786)
O (0.736, 0.081, 0.958)
O (0.764, 0.919, 0.458)
O (0.787, 0.174, 0.286)
O (0.833, 0.684, 0.932)
O (0.851, 0.127, 0.648)
O (0.853, 0.329, 0.460)
O (0.855, 0.594, 0.633)
O (0.869, 0.408, 0.098)
O (0.869, 0.873, 0.119)

=====

# K3LuSi2O7

A relaxed structure of K3LuSi2O7 (PBE, the Materials Project).

Summary:
Energy of formation ... -3.098 eV per atom
M_tot ... 0.00 μB/f.u.
Volume ... 15.57 Å³ per atom
Total energy after the MP2020 corrections ... -7.201 eV per atom
ρ ... 3.78 Mg/m³

Lattice parameters (Å, degrees): 5.765 5.765 14.064 90.00 90.00 120.00
Positions (direct):
K (0.000, 0.000, 0.250)
K (0.000, 0.000, 0.750)
K (0.333, 0.667, 0.092)
K (0.333, 0.667, 0.408)
K (0.667, 0.333, 0.592)
K (0.667, 0.333, 0.908)
Lu (0.000, 0.000, 0.000)
Lu (0.000, 0.000, 0.500)
Si (0.333, 0.667, 0.631)
Si (0.333, 0.667, 0.869)
Si (0.667, 0.333, 0.131)
Si (0.667, 0.333, 0.369)
O (0.177, 0.355, 0.595)
O (0.177, 0.355, 0.905)
O (0.177, 0.823, 0.595)
O (0.177, 0.823, 0.905)
O (0.333, 0.667, 0.750)
O (0.355, 0.177, 0.095)
O (0.355, 0.177, 0.405)
O (0.645, 0.823, 0.595)
O (0.645, 0.823, 0.905)
O (0.667, 0.333, 0.250)
O (0.823, 0.177, 0.095)
O (0.823, 0.177, 0.405)
O (0.823, 0.645, 0.095)
O (0.823, 0.645, 0.405)

=====

# KLuTa2O7

A relaxed structure of KLuTa2O7 (PBE, the Materials Project).

Summary:
Energy of formation ... -3.339 eV per atom
M_tot ... 0.00 μB/f.u.
Volume ... 13.45 Å³ per atom
Total energy after the MP2020 corrections ... -9.155 eV per atom
ρ ... 7.72 Mg/m³

Lattice parameters (Å, degrees): 7.508 7.508 7.508 121.22 120.18 88.79
Positions (direct):
K (0.500, 0.000, 0.000)
K (0.500, 0.500, 0.500)
Lu (0.000, 0.000, 0.000)
Lu (0.500, 0.000, 0.500)
Ta (0.000, 0.000, 0.500)
Ta (0.000, 0.500, 0.000)
Ta (0.000, 0.500, 0.500)
Ta (0.500, 0.500, 0.000)
O (0.057, 0.422, 0.238)
O (0.057, 0.820, 0.635)
O (0.066, 0.816, 0.250)
O (0.308, 0.558, 0.750)
O (0.316, 0.180, 0.738)
O (0.316, 0.578, 0.135)
O (0.334, 0.084, 0.250)
O (0.666, 0.916, 0.750)
O (0.684, 0.422, 0.865)
O (0.684, 0.820, 0.262)
O (0.692, 0.442, 0.250)
O (0.934, 0.184, 0.750)
O (0.943, 0.180, 0.365)
O (0.943, 0.578, 0.762)

=====

# K3Mg

A relaxed structure of K3Mg (PBE, the Materials Project).

Summary:
Energy of formation ... 0.151 eV per atom
M_tot ... 0.00 μB/f.u.
Volume ... 54.69 Å³ per atom
ρ ... 1.07 Mg/m³

Lattice parameters (Å, degrees): 6.025 6.025 6.025 90.00 90.00 90.00
Positions (direct):
K (0.000, 0.000, 0.500)
K (0.000, 0.500, 0.000)
K (0.500, 0.000, 0.000)
Mg (0.500, 0.500, 0.500)

=====

# KMg3

A relaxed structure of KMg3 (PBE, the Materials Project).

Summary:
Energy of formation ... 0.204 eV per atom
M_tot ... 0.00 μB/f.u.
Volume ... 31.09 Å³ per atom
ρ ... 1.50 Mg/m³

Lattice parameters (Å, degrees): 3.242 5.270 7.279 90.00 90.00 90.00
Positions (direct):
K (0.000, 0.000, 0.000)
Mg (0.000, 0.500, 0.654)
Mg (0.500, 0.000, 0.509)
Mg (0.500, 0.500, 0.276)

=====

# K3Mg

A relaxed structure of K3Mg (PBE, the Materials Project).

Summary:
Energy of formation ... 0.146 eV per atom
M_tot ... 0.01 μB/f.u.
Volume ... 54.17 Å³ per atom
ρ ... 1.09 Mg/m³

Lattice parameters (Å, degrees): 6.742 6.742 6.742 60.00 60.00 60.00
Positions (direct):
K (0.000, 0.000, 0.000)
K (0.250, 0.250, 0.250)
K (0.750, 0.750, 0.750)
Mg (0.500, 0.500, 0.500)